(1)
## Ni (r2SCAN)

Data for a relaxed structure of Ni.

Cell: 2.4480 2.4480 4.0728 Å, 90.00 90.00 120.00°
Closest atoms and distances in Å follow each position.
Element x y z (fractional)
Ni1 0.3333 0.6667 0.2500  12 Ni 2.45-2.48
Ni2 0.6667 0.3333 0.7500  12 Ni 2.45-2.48

Calculated values
Formation energy = 45.8 meV/atom
Symmetry = No. 194
ρ = 9222 kg/m³
E above lowest polymorph = 0.046 eV/atom



(2)
## LuAg3 (r2SCAN)

Data for a relaxed structure of LuAg3.

Cell: 6.7632 6.7632 6.7632 Å, 90.00 90.00 90.00°
Closest atoms and distances in Å follow each position.
Element x y z (fractional)
Lu1 0.0000 0.0000 0.0000  8 Ag 2.93
Lu2 0.0000 0.5000 0.5000  8 Ag 2.93
Lu3 0.5000 0.0000 0.5000  8 Ag 2.93
Lu4 0.5000 0.5000 0.0000  8 Ag 2.93
Ag1 0.0000 0.0000 0.5000  8 Ag 2.93
Ag2 0.0000 0.5000 0.0000  8 Ag 2.93
Ag3 0.2500 0.2500 0.2500  4 Lu 2.93, 4 Ag 2.93
Ag4 0.2500 0.2500 0.7500  4 Ag 2.93, 4 Lu 2.93
Ag5 0.2500 0.7500 0.2500  4 Ag 2.93, 4 Lu 2.93
Ag6 0.2500 0.7500 0.7500  4 Lu 2.93, 4 Ag 2.93
Ag7 0.5000 0.0000 0.0000  8 Ag 2.93
Ag8 0.5000 0.5000 0.5000  8 Ag 2.93
Ag9 0.7500 0.2500 0.2500  4 Ag 2.93, 4 Lu 2.93
Ag10 0.7500 0.2500 0.7500  4 Lu 2.93, 4 Ag 2.93
Ag11 0.7500 0.7500 0.2500  4 Lu 2.93, 4 Ag 2.93
Ag12 0.7500 0.7500 0.7500  4 Lu 2.93, 4 Ag 2.93

Calculated values
Formation energy = -210.3 meV/atom
Symmetry = No. 225
ρ = 10705 kg/m³



(3)
## VSbO4 (r2SCAN)

Data for a relaxed structure of VSbO4.

Cell: 5.5630 5.5630 9.0114 Å, 87.79 87.79 71.76°
Closest atoms and distances in Å follow each position.
Element x y z (fractional)
V1 0.4967 0.4967 0.5043  6 O 1.96-2.06
V2 0.8711 0.8711 0.6283  6 O 1.97-2.06
V3 0.9967 0.9967 0.0043  6 O 1.96-2.06
V4 0.3711 0.3711 0.1283  6 O 1.97-2.06
Sb1 0.7528 0.7528 0.2470  6 O 1.98-2.01
Sb2 0.2528 0.2528 0.7470  6 O 1.98-2.01
Sb3 0.6281 0.6281 0.8723  6 O 1.97-2.01
Sb4 0.1281 0.1281 0.3723  6 O 1.97-2.01
O1 0.6489 0.6489 0.6529  2 V 1.96-2.00, 1 Sb 1.98
O2 0.1489 0.1489 0.1529  2 V 1.96-2.00, 1 Sb 1.98
O3 0.1748 0.5712 0.6269  2 V 1.97-2.00, 1 Sb 1.98
O4 0.6748 0.0713 0.1269  2 V 1.97-2.00, 1 Sb 1.98
O5 0.0713 0.6748 0.1269  2 V 1.97-2.00, 1 Sb 1.98
O6 0.5712 0.1748 0.6269  2 V 1.97-2.00, 1 Sb 1.98
O7 0.8467 0.8467 0.8513  1 Sb 1.97, 2 V 1.98-2.01
O8 0.3467 0.3467 0.3513  1 Sb 1.97, 2 V 1.98-2.01
O9 0.5986 0.5986 0.0937  2 Sb 2.00-2.01, 1 V 2.06
O10 0.0986 0.0986 0.5937  2 Sb 2.00-2.01, 1 V 2.06
O11 0.8195 0.4351 0.3725  2 Sb 2.00-2.01, 1 V 2.06
O12 0.3195 0.9351 0.8725  2 Sb 2.00-2.01, 1 V 2.06
O13 0.9351 0.3195 0.8725  2 Sb 2.00-2.01, 1 V 2.06
O14 0.4351 0.8195 0.3725  2 Sb 2.00-2.01, 1 V 2.06
O15 0.4064 0.4064 0.9013  2 Sb 2.00-2.01, 1 V 2.06
O16 0.9064 0.9064 0.4013  2 Sb 2.00-2.01, 1 V 2.06

Calculated values
Formation energy = -2109.0 meV/atom
ρ = 5942 kg/m³



(4)
## ThAl2Ni3 (r2SCAN)

Data for a relaxed structure of ThAl2Ni3.

Cell: 5.1917 8.6396 4.1143 Å, 90.00 90.00 90.00°
Closest atoms and distances in Å follow each position.
Element x y z (fractional)
Th1 0.0000 0.0000 0.0000  6 Ni 2.86-2.98
Th2 0.5000 0.5000 0.0000  6 Ni 2.86-2.98
Al1 0.2500 0.2500 0.5000  6 Ni 2.52-2.53, 2 Al 2.60
Al2 0.2500 0.7500 0.5000  6 Ni 2.52-2.53, 2 Al 2.60
Al3 0.7500 0.2500 0.5000  6 Ni 2.52-2.53, 2 Al 2.60
Al4 0.7500 0.7500 0.5000  6 Ni 2.52-2.53, 2 Al 2.60
Ni1 0.0000 0.3308 0.0000  2 Ni 2.52, 4 Al 2.53
Ni2 0.0000 0.5000 0.5000  4 Al 2.52, 4 Ni 2.52
Ni3 0.0000 0.6692 0.0000  2 Ni 2.52, 4 Al 2.53
Ni4 0.5000 0.0000 0.5000  4 Al 2.52, 4 Ni 2.52
Ni5 0.5000 0.1692 0.0000  2 Ni 2.52, 4 Al 2.53
Ni6 0.5000 0.8308 0.0000  2 Ni 2.52, 4 Al 2.53

Calculated values
Formation energy = -576.6 meV/atom
Symmetry = No. 65
ρ = 8316 kg/m³



(5)
## SmDyRh2 (r2SCAN)

Data for a relaxed structure of SmDyRh2.

Cell: 6.8879 6.8879 6.8879 Å, 90.00 90.00 90.00°
Closest atoms and distances in Å follow each position.
Element x y z (fractional)
Sm1 0.0000 0.0000 0.0000  8 Rh 2.98
Sm2 0.0000 0.5000 0.5000  8 Rh 2.98
Sm3 0.5000 0.0000 0.5000  8 Rh 2.98
Sm4 0.5000 0.5000 0.0000  8 Rh 2.98
Dy1 0.0000 0.0000 0.5000  8 Rh 2.98
Dy2 0.0000 0.5000 0.0000  8 Rh 2.98
Dy3 0.5000 0.0000 0.0000  8 Rh 2.98
Dy4 0.5000 0.5000 0.5000  8 Rh 2.98
Rh1 0.2500 0.2500 0.2500  4 Dy 2.98, 4 Sm 2.98
Rh2 0.2500 0.2500 0.7500  4 Dy 2.98, 4 Sm 2.98
Rh3 0.2500 0.7500 0.2500  4 Dy 2.98, 4 Sm 2.98
Rh4 0.2500 0.7500 0.7500  4 Dy 2.98, 4 Sm 2.98
Rh5 0.7500 0.2500 0.2500  4 Dy 2.98, 4 Sm 2.98
Rh6 0.7500 0.2500 0.7500  4 Dy 2.98, 4 Sm 2.98
Rh7 0.7500 0.7500 0.2500  4 Dy 2.98, 4 Sm 2.98
Rh8 0.7500 0.7500 0.7500  4 Dy 2.98, 4 Sm 2.98

Calculated values
Formation energy = -845.2 meV/atom
Symmetry = No. 225
ρ = 10542 kg/m³



(6)
## Cs2MnTe2 (r2SCAN)

Data for a relaxed structure of Cs2MnTe2.

Cell: 7.2685 7.9949 9.3903 Å, 115.11 112.44 90.10°
Closest atoms and distances in Å follow each position.
Element x y z (fractional)
Cs1 0.0000 0.0000 0.0000  6 Te 3.88-4.13, 2 Mn 3.90
Cs2 0.2113 0.7089 0.4177  6 Te 3.88-4.13, 2 Mn 3.89-3.90
Cs3 0.4988 0.3443 0.9997  6 Te 3.88-4.13, 2 Mn 3.90
Cs4 0.7124 0.0544 0.4208  6 Te 3.88-4.14, 2 Mn 3.90
Mn1 0.1059 0.5274 0.7094  4 Te 2.78-2.79
Mn2 0.6052 0.5276 0.7089  4 Te 2.78-2.79
Te1 0.2570 0.2466 0.5099  2 Mn 2.78-2.79
Te2 0.4543 0.8080 0.9088  2 Mn 2.78-2.79
Te3 0.7571 0.6089 0.5100  2 Mn 2.78-2.79
Te4 0.9535 0.4452 0.9083  2 Mn 2.79

Calculated values
Formation energy = -1130.4 meV/atom
Symmetry = No. 1
ρ = 4271 kg/m³



(7)
## Mn (r2SCAN)

Data for a relaxed structure of Mn.

Cell: 7.8869 7.8869 7.8869 Å, 109.47 109.47 109.47°
Closest atoms and distances in Å follow each position.
Element x y z (fractional)
Mn1 0.0000 0.0000 0.0000  16 Mn 2.80-2.85
Mn2 0.0000 0.0000 0.3555  10 Mn 2.59-2.80
Mn3 0.0000 0.3165 0.5975  8 Mn 2.43-2.68
Mn4 0.0000 0.3555 0.0000  10 Mn 2.59-2.80
Mn5 0.0000 0.5975 0.3165  8 Mn 2.43-2.68
Mn6 0.0000 0.6224 0.8087  8 Mn 2.40-2.68
Mn7 0.0000 0.8087 0.6224  8 Mn 2.40-2.68
Mn8 0.1864 0.3776 0.3776  8 Mn 2.40-2.68
Mn9 0.1913 0.1913 0.8136  8 Mn 2.40-2.68
Mn10 0.1913 0.8136 0.1913  8 Mn 2.40-2.68
Mn11 0.2810 0.6835 0.6835  8 Mn 2.43-2.68
Mn12 0.3165 0.0000 0.5975  8 Mn 2.43-2.68
Mn13 0.3165 0.5975 0.0000  8 Mn 2.43-2.68
Mn14 0.3555 0.0000 0.0000  10 Mn 2.59-2.80
Mn15 0.3776 0.1864 0.3776  8 Mn 2.40-2.68
Mn16 0.3776 0.3776 0.1864  8 Mn 2.40-2.68
Mn17 0.4025 0.4025 0.7190  8 Mn 2.43-2.68
Mn18 0.4025 0.7190 0.4025  8 Mn 2.43-2.68
Mn19 0.5975 0.0000 0.3165  8 Mn 2.43-2.68
Mn20 0.5975 0.3165 0.0000  8 Mn 2.43-2.68
Mn21 0.6224 0.0000 0.8087  8 Mn 2.40-2.68
Mn22 0.6224 0.8087 0.0000  8 Mn 2.40-2.68
Mn23 0.6445 0.6445 0.6445  10 Mn 2.59-2.80
Mn24 0.6835 0.2810 0.6835  8 Mn 2.43-2.68
Mn25 0.6835 0.6835 0.2810  8 Mn 2.43-2.68
Mn26 0.7190 0.4025 0.4025  8 Mn 2.43-2.68
Mn27 0.8087 0.0000 0.6224  8 Mn 2.40-2.68
Mn28 0.8087 0.6224 0.0000  8 Mn 2.40-2.68
Mn29 0.8136 0.1913 0.1913  8 Mn 2.40-2.68

Calculated values
Formation energy = 0.0 meV/atom
Symmetry = No. 217
ρ = 7005 kg/m³
E above lowest polymorph = 0.000 eV/atom



(8)
## CaGa2 (r2SCAN)

Data for a relaxed structure of CaGa2.

Cell: 4.4433 4.4433 7.3877 Å, 90.00 90.00 120.00°
Closest atoms and distances in Å follow each position.
Element x y z (fractional)
Ca1 0.0000 0.0000 0.2500  6 Ga 2.99
Ca2 0.0000 0.0000 0.7500  6 Ga 2.99
Ga1 0.3333 0.6667 0.0425  3 Ga 2.64
Ga2 0.3333 0.6667 0.4575  3 Ga 2.64
Ga3 0.6667 0.3333 0.5425  3 Ga 2.64
Ga4 0.6667 0.3333 0.9575  3 Ga 2.64

Calculated values
Formation energy = -595.0 meV/atom
Symmetry = No. 194
ρ = 4720 kg/m³



(9)
## CeSb2 (r2SCAN)

Data for a relaxed structure of CeSb2.

Cell: 4.4205 4.4205 18.2038 Å, 90.00 90.00 88.85°
Closest atoms and distances in Å follow each position.
Element x y z (fractional)
Ce1 0.1376 0.8624 0.8893  9 Sb 3.18-3.49
Ce2 0.3624 0.6376 0.3893  9 Sb 3.18-3.49
Ce3 0.6376 0.3624 0.6107  9 Sb 3.18-3.49
Ce4 0.8624 0.1376 0.1107  9 Sb 3.18-3.49
Sb1 0.1287 0.3713 0.7500  4 Sb 3.09-3.16, 4 Ce 3.34-3.39
Sb2 0.1333 0.8667 0.5642  1 Sb 2.86, 1 Ce 3.18
Sb3 0.3667 0.6333 0.0642  1 Sb 2.86, 1 Ce 3.18
Sb4 0.3713 0.1287 0.2500  4 Sb 3.09-3.16, 4 Ce 3.34-3.39
Sb5 0.6287 0.8713 0.7500  4 Sb 3.09-3.16, 4 Ce 3.34-3.39
Sb6 0.6333 0.3667 0.9358  1 Sb 2.86, 1 Ce 3.18
Sb7 0.8667 0.1333 0.4358  1 Sb 2.86, 1 Ce 3.18
Sb8 0.8713 0.6287 0.2500  4 Sb 3.09-3.16, 4 Ce 3.34-3.39

Calculated values
Formation energy = -950.6 meV/atom
Symmetry = No. 64
ρ = 7165 kg/m³



(10)
## In7Pt3 (r2SCAN)

Data for a relaxed structure of In7Pt3.

Cell: 8.2420 8.2420 8.2420 Å, 109.47 109.47 109.47°
Closest atoms and distances in Å follow each position.
Element x y z (fractional)
In1 0.0000 0.0000 0.3254  3 Pt 2.80, 4 In 2.88-3.10
In2 0.0000 0.0000 0.6746  3 Pt 2.80, 4 In 2.88-3.10
In3 0.0000 0.3254 0.0000  3 Pt 2.80, 4 In 2.88-3.10
In4 0.0000 0.6746 0.0000  3 Pt 2.80, 4 In 2.88-3.10
In5 0.2500 0.5000 0.7500  4 Pt 2.80
In6 0.2500 0.7500 0.5000  4 Pt 2.80
In7 0.3254 0.0000 0.0000  3 Pt 2.80, 4 In 2.88-3.10
In8 0.3254 0.3254 0.3254  3 Pt 2.80, 4 In 2.88-3.10
In9 0.5000 0.2500 0.7500  4 Pt 2.80
In10 0.5000 0.7500 0.2500  4 Pt 2.80
In11 0.6746 0.0000 0.0000  3 Pt 2.80, 4 In 2.88-3.10
In12 0.6746 0.6746 0.6746  3 Pt 2.80, 4 In 2.88-3.10
In13 0.7500 0.2500 0.5000  4 Pt 2.80
In14 0.7500 0.5000 0.2500  4 Pt 2.80
Pt1 0.0000 0.3456 0.3456  8 In 2.80, 1 Pt 2.94
Pt2 0.0000 0.6544 0.6544  8 In 2.80, 1 Pt 2.94
Pt3 0.3456 0.0000 0.3456  8 In 2.80, 1 Pt 2.94
Pt4 0.3456 0.3456 0.0000  8 In 2.80, 1 Pt 2.94
Pt5 0.6544 0.0000 0.6544  8 In 2.80, 1 Pt 2.94
Pt6 0.6544 0.6544 0.0000  8 In 2.80, 1 Pt 2.94

Calculated values
Formation energy = -528.6 meV/atom
Symmetry = No. 229
ρ = 10703 kg/m³



(11)
## LaSb12Os4 (r2SCAN)

Data for a relaxed structure of LaSb12Os4.

Cell: 8.1114 8.1114 8.1114 Å, 109.47 109.47 109.47°
Closest atoms and distances in Å follow each position.
Element x y z (fractional)
La1 0.0000 0.0000 0.0000  12 Sb 3.51
Sb1 0.1574 0.4978 0.3404  2 Os 2.64, 1 Sb 2.95
Sb2 0.1574 0.8170 0.6596  2 Os 2.64, 1 Sb 2.95
Sb3 0.1830 0.3404 0.8426  2 Os 2.64, 1 Sb 2.95
Sb4 0.3404 0.1574 0.4978  2 Os 2.64, 1 Sb 2.95
Sb5 0.3404 0.8426 0.1830  2 Os 2.64, 1 Sb 2.95
Sb6 0.4978 0.3404 0.1574  2 Os 2.64, 1 Sb 2.95
Sb7 0.5022 0.6596 0.8426  2 Os 2.64, 1 Sb 2.95
Sb8 0.6596 0.1574 0.8170  2 Os 2.64, 1 Sb 2.95
Sb9 0.6596 0.8426 0.5022  2 Os 2.64, 1 Sb 2.95
Sb10 0.8170 0.6596 0.1574  2 Os 2.64, 1 Sb 2.95
Sb11 0.8426 0.1830 0.3404  2 Os 2.64, 1 Sb 2.95
Sb12 0.8426 0.5022 0.6596  2 Os 2.64, 1 Sb 2.95
Os1 0.0000 0.0000 0.5000  6 Sb 2.64
Os2 0.0000 0.5000 0.0000  6 Sb 2.64
Os3 0.5000 0.0000 0.0000  6 Sb 2.64
Os4 0.5000 0.5000 0.5000  6 Sb 2.64

Calculated values
Formation energy = -275.0 meV/atom
Symmetry = No. 204
ρ = 9543 kg/m³



(12)
## TmAlAg2 (r2SCAN)

Data for a relaxed structure of TmAlAg2.

Cell: 6.7200 6.7200 6.7200 Å, 90.00 90.00 90.00°
Closest atoms and distances in Å follow each position.
Element x y z (fractional)
Tm1 0.0000 0.0000 0.0000  8 Ag 2.91
Tm2 0.0000 0.5000 0.5000  8 Ag 2.91
Tm3 0.5000 0.0000 0.5000  8 Ag 2.91
Tm4 0.5000 0.5000 0.0000  8 Ag 2.91
Al1 0.0000 0.0000 0.5000  8 Ag 2.91
Al2 0.0000 0.5000 0.0000  8 Ag 2.91
Al3 0.5000 0.0000 0.0000  8 Ag 2.91
Al4 0.5000 0.5000 0.5000  8 Ag 2.91
Ag1 0.2500 0.2500 0.2500  4 Tm 2.91, 4 Al 2.91
Ag2 0.2500 0.2500 0.7500  4 Tm 2.91, 4 Al 2.91
Ag3 0.2500 0.7500 0.2500  4 Tm 2.91, 4 Al 2.91
Ag4 0.2500 0.7500 0.7500  4 Tm 2.91, 4 Al 2.91
Ag5 0.7500 0.2500 0.2500  4 Tm 2.91, 4 Al 2.91
Ag6 0.7500 0.2500 0.7500  4 Tm 2.91, 4 Al 2.91
Ag7 0.7500 0.7500 0.2500  4 Tm 2.91, 4 Al 2.91
Ag8 0.7500 0.7500 0.7500  4 Tm 2.91, 4 Al 2.91

Calculated values
Formation energy = -353.0 meV/atom
Symmetry = No. 225
ρ = 9010 kg/m³